{"formula": "CaAl2Si2H4O10", "functional": "PBE", "state": "optimized geometry", "formation_enthalpy_0k_ev_per_atom": -2.557, "total_energy_ev_per_atom": -6.585, "space_group": "Cmcm, No. 63", "vol_a3_per_fu": 207.6, "lattice": [[2.955, -4.995, 0.000], [2.955, 4.995, 0.000], [0.000, 0.000, 14.066]], "species": ["Ca", "Ca", "Al", "Al", "Al", "Al", "Si", "Si", "Si", "Si", "H", "H", "H", "H", "H", "H", "H", "H", "O", "O", "O", "O", "O", "O", "O", "O", "O", "O", "O", "O", "O", "O", "O", "O", "O", "O", "O", "O"], "fractional_positions": [[0.897, 0.103, 0.250], [0.103, 0.897, 0.750], [0.500, 0.000, 0.500], [0.000, 0.500, 0.500], [0.500, 0.000, 0.000], [0.000, 0.500, 0.000], [0.243, 0.757, 0.350], [0.757, 0.243, 0.650], [0.243, 0.757, 0.150], [0.757, 0.243, 0.850], [0.518, 0.482, 0.305], [0.482, 0.518, 0.695], [0.518, 0.482, 0.195], [0.482, 0.518, 0.805], [0.668, 0.332, 0.387], [0.332, 0.668, 0.613], [0.668, 0.332, 0.113], [0.332, 0.668, 0.887], [0.154, 0.846, 0.250], [0.846, 0.154, 0.750], [0.561, 0.906, 0.366], [0.906, 0.561, 0.634], [0.561, 0.906, 0.134], [0.906, 0.561, 0.866], [0.439, 0.094, 0.634], [0.094, 0.439, 0.366], [0.439, 0.094, 0.866], [0.094, 0.439, 0.134], [0.146, 0.854, 0.446], [0.854, 0.146, 0.554], [0.146, 0.854, 0.054], [0.854, 0.146, 0.946], [0.647, 0.353, 0.455], [0.353, 0.647, 0.545], [0.647, 0.353, 0.045], [0.353, 0.647, 0.955], [0.577, 0.423, 0.250], [0.423, 0.577, 0.750]]}